Entry 1:
## Na8Ca3ZrP6O24 (PBE)

Data for Na8Ca3ZrP6O24 after structural relaxation.

Cell and atoms, written as POSCAR:
```
Na8Ca3ZrP6O24
1.0
-7.2409 5.8077 1.5629
-1.3636 -9.3135 -0.0549
4.2774 -0.7598 22.6410
O Na Zr P Ca
72 24 3 18 9
Cartesian
1.0037 0.4640 13.4790
0.1907 -6.0158 10.8958
-3.0350 -3.5463 21.8158
-6.5393 -2.0878 10.9127
0.6886 -6.9968 22.4442
-2.8663 -2.5355 2.2386
-2.6204 1.1612 6.3644
-4.9907 2.5156 1.6430
-5.7128 4.4603 3.0569
-4.1350 4.3801 10.6755
-3.7545 -0.2848 1.3154
-2.6907 -1.7410 15.4969
-0.1024 -6.7228 20.0708
3.5989 -2.4907 20.5979
-1.7855 1.9431 17.9817
-5.5127 -2.8813 8.0846
0.2541 -3.2545 17.7046
1.1450 -8.8564 20.8479
-4.3412 1.5142 13.3644
0.0277 -5.5763 8.3889
-5.5064 1.6927 6.9274
-3.7093 -0.4253 18.2657
2.1337 -4.4409 19.7249
1.2268 -1.5986 16.1168
-1.7697 -2.4587 8.8331
1.6064 -7.7642 15.8381
1.5361 -1.2441 18.6271
-4.5917 -5.1221 2.4778
-3.5353 -5.6176 9.0606
-1.3499 0.9702 12.7810
2.5956 -4.1355 22.1799
-2.0009 -8.0826 4.6523
-6.5370 0.0666 4.4204
-1.5359 -5.3347 1.8933
-3.5984 -3.4860 6.4858
-2.3006 3.8227 19.5220
-4.7905 3.6007 14.6789
-3.2214 -5.2576 11.5658
-4.5954 -3.0885 14.4176
-0.8514 -2.6270 11.2064
-1.2233 -6.4382 13.6060
-0.7253 -3.7554 5.9340
-0.7445 1.1691 15.2269
-6.1166 3.5759 8.4154
-4.1850 1.4127 15.8851
-2.7776 0.9190 22.1278
0.8092 -4.1731 13.2980
-0.7839 -3.9018 22.8263
-2.1247 -3.5276 13.8740
-0.7412 -0.9229 17.6882
0.0935 0.9052 21.5850
-4.9729 -0.1030 10.9687
-7.7657 -1.8612 3.2326
-2.4068 -6.1530 6.1712
-3.1506 2.0506 10.6967
-3.3249 -1.3956 13.0747
0.1571 -0.9368 9.6862
-1.3678 -0.4747 2.0704
-3.2853 -0.6502 3.7820
-0.9152 -3.6244 20.3283
-2.2378 -0.6198 10.4346
-0.3133 0.9140 7.2297
-5.8623 -3.0435 5.5509
-1.3692 -1.6170 21.7766
-6.7638 0.0113 1.8939
0.3798 -2.1345 4.4021
-4.7172 -2.1176 19.7792
1.1287 -5.9248 17.4498
-4.2832 2.5764 4.0788
-1.5870 -5.3744 17.9813
-4.5315 -1.1181 6.6489
-3.8353 -5.0491 16.9573
-2.0598 -1.4782 6.2674
-0.5165 -4.7716 15.3385
-5.3897 -2.7559 3.0874
-2.3668 -2.7229 17.7881
0.2082 -6.1032 5.6837
-0.1318 -1.8443 13.5557
0.5152 1.4516 17.3837
-4.0624 -1.3624 22.1895
-1.2312 3.1537 21.8062
-4.8761 -5.8134 6.6540
-2.5668 -4.4074 4.4855
1.2357 -6.7610 13.1323
-3.6418 -5.5337 14.0950
-4.2407 -2.5778 10.3082
2.1221 -0.3770 11.2324
1.1833 -1.5740 21.1914
0.0288 -0.0051 0.1524
-0.3338 -2.9604 2.1253
-4.4647 1.8805 18.3389
-0.6003 1.3677 9.7528
-3.8969 0.5213 8.3545
-1.7430 0.1387 19.7553
-5.7603 2.5804 10.7684
-3.0631 -7.3128 2.4949
-1.0780 0.0206 23.2753
-3.2072 0.3988 12.0052
0.1801 -4.8953 19.0254
0.5867 -1.7040 17.5158
-0.2129 1.3741 13.8021
-2.7847 -1.0060 2.3934
-1.5428 -3.1917 21.7182
2.2270 -7.0046 17.0280
3.1987 -3.9612 20.7966
-4.1772 -5.7185 10.4575
0.6322 -3.0482 5.6355
-4.9483 2.0560 14.7196
-4.5416 3.4654 2.8754
-7.4800 -0.3420 3.3027
-2.5105 -7.7059 6.0729
-3.1867 -2.4600 14.2353
0.1472 -7.7573 21.2457
-1.1452 -1.6999 10.0196
-3.1152 -5.8278 18.0767
-4.8881 -2.6339 6.6923
0.7442 -6.3583 9.5063
3.6212 -0.6432 19.1674
-3.2538 -4.2853 0.8495
-1.9450 -4.5178 7.7769
-1.1328 -4.6621 12.0761
-4.5033 0.6290 5.1445
0.6530 -0.1160 3.4566
2.7856 -0.4948 14.7446
-2.3694 0.2500 16.4394
1.4796 -0.2628 7.8319
```

Properties
The value obtained for the volume is 1769.0 Å³/cell. The MP2020-corrected energy is -7.098 eV per atom. As for the spin magnetization: 0.00 Bohr magnetons per cell. The value obtained for the formation energy from the elements is -2.899 eV per atom.


Entry 2:
## Na10Ca3Zr5P12O48 (PBE)

Data for Na10Ca3Zr5P12O48 after structural relaxation.

Cell and atoms, written as POSCAR:
```
Na10Ca3Zr5P12O48
1.0
18.3774 -0.0262 -0.0071
-4.6057 7.9604 0.0016
-0.0091 -0.0005 23.1126
O P Zr Na Ca
144 36 15 30 9
Cartesian
10.1206 3.5007 10.9844
-3.7368 6.5121 9.3821
2.8887 7.9379 18.5527
-1.2733 7.0065 22.5532
11.2370 5.5128 22.4882
5.6108 1.1225 17.3739
1.6088 0.2602 13.5874
8.3142 6.8256 13.3445
8.1485 3.8751 20.0611
11.9678 2.5814 17.3547
12.9370 6.4308 6.9919
2.8400 7.8062 9.5587
2.7799 2.6009 17.3595
2.6808 2.8472 3.1379
0.8300 6.8359 1.7784
3.8916 4.2878 12.2599
6.3716 7.7301 4.5666
12.6891 6.4381 4.4936
2.0487 5.5272 22.4926
3.6245 6.2249 7.1394
0.7438 1.7013 16.0462
6.2158 2.7894 21.2653
3.4977 1.2100 12.2402
14.7431 3.9785 9.7023
14.4389 4.3210 17.3341
17.3287 1.2446 13.5955
15.5562 2.3979 12.2343
3.6658 4.1879 5.7131
10.0561 1.4725 18.5444
3.9155 1.1496 21.2591
10.8069 5.5089 5.9395
1.0099 1.2629 2.0138
3.4953 6.5338 4.5988
-0.8371 1.4931 20.9373
6.4564 2.8603 14.7234
5.6765 6.4914 16.0346
7.4258 5.2752 1.7579
8.2798 3.7858 13.3368
-1.0373 3.8882 20.0611
3.6643 1.0981 5.8107
8.1431 1.2657 13.5982
12.0771 7.9243 18.5497
15.5913 2.4662 5.8284
15.6367 2.8349 14.7209
9.9323 1.6833 16.0412
15.4042 2.7854 21.2540
10.1205 1.4719 9.5649
0.8387 3.3556 11.0074
2.9589 2.8975 9.7222
-0.7381 6.8989 20.0544
-1.0520 6.5703 5.9171
14.9083 4.1741 3.1501
8.4529 6.8887 20.0505
1.0912 6.5241 17.4680
11.9692 7.7057 16.0588
5.2639 4.3027 0.6619
3.6260 3.9832 21.2523
14.5841 6.4785 18.5260
-2.9084 7.9323 20.9375
8.3533 1.4792 20.9349
12.0597 7.9309 9.3619
12.0613 2.4171 0.7599
-0.8382 1.4545 6.9937
1.7210 0.0197 6.9900
-0.8820 6.8234 13.3608
14.5346 0.8981 3.1410
10.0327 6.8209 1.7513
-3.5134 6.5051 16.0404
10.4315 7.0143 11.0073
0.8493 1.4780 9.3803
0.5868 3.7935 17.4717
-0.8670 3.3728 22.5575
9.8411 6.8820 8.5255
5.2335 1.1183 9.7247
10.2302 1.2518 2.0365
3.4811 4.2059 14.7865
12.6713 4.2252 14.8472
13.0915 1.1415 21.2608
8.1421 1.5366 6.9580
12.8121 3.9664 21.2505
6.3568 2.3909 12.2478
1.7407 5.2481 13.3556
14.4599 4.2912 0.6653
12.9320 4.2153 5.8034
0.7162 6.9217 8.4150
5.3965 6.4912 18.5296
10.2236 3.8053 8.4220
11.8424 2.8237 3.2708
5.6437 1.2640 0.7668
13.0256 0.9572 14.6523
1.5401 5.6283 5.8552
-2.7731 7.7763 4.4924
10.1082 3.7899 1.7854
7.5715 0.2320 2.0344
10.9572 5.1050 19.9630
8.6258 3.7711 5.8554
0.8808 3.7945 1.7492
10.2794 6.5103 17.4660
7.9190 6.9889 22.5493
2.7823 7.7186 16.0616
12.6648 1.1709 12.1508
3.9820 6.4261 13.5979
3.8227 0.9234 14.7216
3.7118 6.4937 20.9252
-0.9131 3.7946 13.3672
7.4188 5.1188 8.4880
0.8689 1.4860 18.5476
10.9450 5.2459 13.3918
14.7964 1.1061 17.3728
14.8835 1.2220 0.6643
2.8027 2.4101 0.6572
12.9014 6.4790 20.9209
12.1974 2.8329 9.7036
7.1844 5.4459 11.0011
12.7705 1.2018 5.6710
-1.7507 5.1339 8.5046
9.7762 3.7787 17.4676
14.3631 6.4144 2.0204
10.8010 0.2515 13.5760
5.4895 6.4638 9.5401
16.7596 0.2298 2.0303
5.1666 6.4128 2.0335
14.3953 1.1119 9.7046
1.0525 6.9104 10.9638
13.1913 6.4144 13.5992
5.5202 3.9641 9.7332
-1.7578 5.2858 1.7584
-0.5788 3.7334 5.9348
7.5171 5.5299 17.4825
5.4083 0.8471 3.2739
6.3464 2.5412 5.6248
13.1085 4.2439 12.3401
6.2792 7.9161 20.9354
11.1255 0.0826 7.1040
1.0409 3.9176 8.5216
5.7128 4.1596 3.1426
1.7688 5.1185 19.9664
5.2469 4.3354 17.3366
-1.6711 5.5440 17.4845
-0.7462 1.6621 4.4968
-2.1340 5.5502 11.0107
8.3247 3.3551 22.5579
8.2114 6.5921 5.8860
8.5024 1.6929 4.4651
1.3191 7.6740 9.6640
-3.2134 5.6850 17.3660
7.3415 7.8897 5.8322
-1.2841 2.3473 5.8207
1.3913 2.8993 9.6612
15.1728 0.2984 1.9094
16.4846 2.5863 13.4954
1.8518 2.6066 1.8990
-1.9053 7.8775 5.8102
1.8956 7.8706 17.3784
11.0697 2.5990 1.9761
12.4581 5.0099 13.5619
-2.7884 5.3149 9.6542
10.6161 2.9175 9.6638
2.7662 5.2816 21.1720
12.3840 0.3092 13.4463
-1.4225 2.9038 21.2215
10.4602 2.3720 17.3677
7.7664 2.8885 21.2215
3.1245 5.5904 5.8511
3.1929 0.3030 13.4964
7.3023 2.6070 13.4969
3.2587 5.0135 13.5131
10.5574 7.7048 9.6534
5.9749 5.6727 17.3614
5.9144 5.0126 1.9122
15.1071 5.0128 1.9081
11.0829 7.8559 17.3769
7.7933 7.7105 21.2151
7.8577 2.4015 5.7515
-1.3945 7.7251 21.2175
5.9861 0.3036 1.9705
12.3607 5.6264 5.8119
1.2731 2.3890 17.3738
11.9555 5.2660 21.1684
6.4159 5.2486 9.6937
9.1397 5.2965 7.3145
4.5995 7.9187 3.5239
13.7667 7.9335 3.4968
-4.5987 7.9528 8.1229
9.1912 0.0097 19.7199
13.8018 2.6934 11.0649
0.0101 0.0285 15.0613
0.0022 0.0227 19.7242
9.1995 0.0092 15.0417
-0.0740 5.3056 18.9160
-0.0478 5.2619 7.3050
4.6122 2.5683 11.0809
13.7707 2.6409 22.6128
9.1148 5.2909 18.9140
4.5702 2.6563 22.6148
10.4536 2.7452 13.3345
-0.1293 5.3077 15.4314
7.9105 2.7435 1.8270
12.0179 5.4578 1.7983
-4.6025 7.9525 11.4111
1.5456 7.6538 13.3668
4.6551 2.5228 19.2133
9.1003 5.3933 3.8483
12.0496 0.1745 9.4917
3.3261 5.3881 9.4659
-0.0336 5.1943 3.8502
2.9430 4.9641 17.3197
4.5775 2.7005 7.5218
1.2683 2.7604 13.3583
2.8270 5.4592 1.8110
13.7617 7.9308 23.0046
12.1320 4.9452 17.3121
13.8412 2.5114 19.2111
4.5741 7.9429 23.0168
10.7396 7.6737 13.3638
-1.5799 7.6781 1.7994
6.3234 5.4606 13.3597
9.0583 5.2929 15.4321
9.1005 0.1210 11.3135
13.9601 2.7042 7.5540
10.9598 2.8259 5.7403
5.8533 0.0969 5.7521
7.6197 7.6805 1.8046
-1.2942 2.7598 1.7973
-2.8733 5.4755 13.3732
13.8157 2.5631 15.9352
4.6283 2.5790 15.9314
9.2213 5.3007 11.8141
9.1789 5.2885 0.2012
13.8799 2.6398 4.3313
4.5243 2.6957 4.2945
-0.0132 5.3097 0.1973
9.1591 0.0321 8.0842
-0.0742 5.2531 11.8015
```

Properties
The value obtained for the volume is 3378.4 Å³/cell. The MP2020-corrected energy is -7.682 eV per atom. As for the spin magnetization: 0.00 Bohr magnetons per cell. The value obtained for the formation energy from the elements is -3.009 eV per atom.


Entry 3:
## RbNaCaThSi8O20 (PBE)

Data for RbNaCaThSi8O20 after structural relaxation.

Cell and atoms, written as POSCAR:
```
RbNaCaThSi8O20
1.0
7.6833 0.0000 0.0000
0.0000 7.6833 0.0000
0.0000 0.0000 14.8636
Si O Na Ca Rb Th
16 40 2 2 2 2
Cartesian
5.1096 5.6393 9.0506
5.1242 2.0143 1.6255
2.5591 2.0143 5.8063
2.0440 2.5737 1.6188
2.5737 5.6393 13.2448
5.6689 2.5591 9.0573
5.6689 5.1242 13.2381
5.6393 2.5737 5.8130
2.5591 5.6689 1.6255
2.5737 2.0440 9.0506
5.6393 5.1096 1.6188
5.1096 2.0440 13.2448
5.1242 5.6689 5.8063
2.0143 5.1242 9.0573
2.0440 5.1096 5.8130
2.0143 2.5591 13.2381
4.1805 1.9560 9.4768
1.8703 5.2875 7.4298
2.3958 5.8130 14.8616
0.8234 1.9258 2.4341
0.8232 1.8230 12.4726
3.5027 5.7273 9.4768
5.7273 4.1805 5.3868
1.9258 0.8234 9.8659
1.9560 3.5027 5.3868
0.8234 5.7575 4.9977
6.8599 5.7575 2.4341
5.8130 5.2875 0.0020
5.2875 5.8130 7.4338
5.6958 3.5235 12.8372
1.9875 3.5235 9.4582
5.6958 4.1597 9.4582
5.2875 1.8703 14.8616
5.8130 2.3958 7.4298
1.9258 6.8599 12.4295
6.8599 1.9258 4.9977
4.1597 5.6958 2.0264
6.8600 5.8602 12.4726
6.8600 1.8230 9.8229
5.8602 6.8600 5.0408
1.8230 0.8232 5.0408
5.7575 0.8234 12.4295
4.1805 5.7273 12.8186
2.3958 1.8703 7.4338
1.8703 2.3958 0.0020
1.8230 6.8600 2.3910
5.7575 6.8599 9.8659
5.7273 3.5027 2.0450
5.8602 0.8232 2.3910
3.5235 1.9875 2.0264
4.1597 1.9875 5.4054
3.5235 5.6958 5.4054
0.8232 5.8602 9.8229
1.9875 4.1597 12.8372
3.5027 1.9560 12.8186
1.9560 4.1805 2.0450
0.0000 3.8416 11.1477
3.8416 0.0000 3.7159
3.8416 0.0000 11.1477
0.0000 3.8416 3.7159
0.0000 0.0000 0.0000
0.0000 0.0000 7.4318
0.0000 0.0000 11.1477
0.0000 0.0000 3.7159
```

Properties
The value obtained for the volume is 877.4 Å³/cell. The MP2020-corrected energy is -8.124 eV per atom. As for the spin magnetization: 0.00 Bohr magnetons per cell. The value obtained for the formation energy from the elements is -3.309 eV per atom.


Entry 4:
## NaCa3RuO6 (PBE)

Data for NaCa3RuO6 after structural relaxation.

Cell and atoms, written as POSCAR:
```
NaCa3RuO6
1.0
4.6222 -4.6585 0.0000
4.6222 4.6585 0.0000
-0.0729 0.0000 6.5621
Ru Ca O Na
2 6 12 2
Cartesian
0.0000 0.0000 0.0000
4.5857 0.0000 3.2810
5.2851 1.6534 0.6885
2.2564 1.3517 4.9215
5.2487 3.0051 3.9695
3.8863 -1.6534 5.8736
6.9150 -1.3517 1.6405
3.9228 -3.0051 2.5926
4.6103 0.5826 5.1854
3.4790 3.0383 6.1193
4.5612 -0.5826 1.3767
2.9282 -1.0376 3.6590
4.5247 -4.0758 4.6577
1.5846 -1.0376 6.1841
3.5155 1.6202 2.8382
6.2432 1.0376 2.9031
4.6467 4.0758 1.9044
5.6924 -3.0383 0.4428
5.6560 -1.6202 3.7238
7.5869 1.0376 0.3779
2.2929 0.0000 1.6405
6.8786 0.0000 4.9215
```

Properties
The value obtained for the volume is 282.6 Å³/cell. The MP2020-corrected energy is -6.780 eV per atom. As for the spin magnetization: 6.00 Bohr magnetons per cell. The value obtained for the formation energy from the elements is -2.571 eV per atom.


What is the formula in the fourth record?
NaCa3RuO6